Compound: Ba3MgRu2O9
Source: Materials Project
Functional: PBE
Structure: relaxed

* ΔH_f (0 K): -2431 meV/atom
* symmetry: No. 194

Structure (POSCAR):
```
Ba3MgRu2O9
1.0
5.8560 0.0000 0.0000
-2.9280 5.0714 0.0000
0.0000 0.0000 14.1238
Ba Mg Ru O
6 2 4 18
direct
0.0000 0.0000 0.2500
0.0000 0.0000 0.7500
0.3333 0.6667 0.0886
0.3333 0.6667 0.4114
0.6667 0.3333 0.5886
0.6667 0.3333 0.9114
0.0000 0.0000 0.0000
0.0000 0.0000 0.5000
0.3333 0.6667 0.6608
0.3333 0.6667 0.8392
0.6667 0.3333 0.1608
0.6667 0.3333 0.3392
0.0154 0.5077 0.7500
0.1729 0.3458 0.5852
0.1729 0.3458 0.9148
0.1729 0.8271 0.5852
0.1729 0.8271 0.9148
0.3458 0.1729 0.0852
0.3458 0.1729 0.4148
0.4923 0.5077 0.7500
0.4923 0.9846 0.7500
0.5077 0.0154 0.2500
0.5077 0.4923 0.2500
0.6542 0.8271 0.5852
0.6542 0.8271 0.9148
0.8271 0.1729 0.0852
0.8271 0.1729 0.4148
0.8271 0.6542 0.0852
0.8271 0.6542 0.4148
0.9846 0.4923 0.2500
```

---

Compound: MoC
Source: Materials Project
Functional: PBE
Structure: relaxed

* ΔH_f (0 K): 171 meV/atom
* energy relative to the lowest polymorph listed for this composition: 253.5 meV/atom
* symmetry: No. 194

Structure (POSCAR):
```
MoC
1.0
3.0736 0.0000 0.0000
-1.5368 2.6618 0.0000
0.0000 0.0000 15.4204
Mo C
6 6
direct
0.0000 0.0000 0.2500
0.0000 0.0000 0.7500
0.3333 0.6667 0.0762
0.3333 0.6667 0.4238
0.6667 0.3333 0.5762
0.6667 0.3333 0.9238
0.0000 0.0000 0.0000
0.0000 0.0000 0.5000
0.3333 0.6667 0.6665
0.3333 0.6667 0.8335
0.6667 0.3333 0.1665
0.6667 0.3333 0.3335
```

---

Compound: K3NaHf2Si3O12
Source: Materials Project
Functional: PBE
Structure: relaxed

* ΔH_f (0 K): -3184 meV/atom

Structure (POSCAR):
```
K3NaHf2Si3O12
1.0
-8.2655 -4.0719 -1.9319
7.9724 -3.6982 -3.3757
1.9372 -12.7080 18.4972
K Na Hf Si O
18 6 12 18 72
direct
0.6581 0.0000 0.2500
0.3419 0.3419 0.2500
0.0000 0.6581 0.2500
0.6581 0.6581 0.7500
0.0000 0.3419 0.7500
0.3419 0.0000 0.7500
0.3248 0.3333 0.5833
0.0085 0.6752 0.5833
0.6667 0.9915 0.5833
0.3248 0.9915 0.0833
0.6667 0.6752 0.0833
0.0085 0.3333 0.0833
0.9915 0.6667 0.9167
0.6752 0.0085 0.9167
0.3333 0.3248 0.9167
0.9915 0.3248 0.4167
0.3333 0.0085 0.4167
0.6752 0.6667 0.4167
0.0000 0.0000 0.5000
0.0000 0.0000 0.0000
0.6667 0.3333 0.8333
0.6667 0.3333 0.3333
0.3333 0.6667 0.1667
0.3333 0.6667 0.6667
0.0000 0.0000 0.3518
0.0000 0.0000 0.8518
0.0000 0.0000 0.6482
0.0000 0.0000 0.1482
0.6667 0.3333 0.6851
0.6667 0.3333 0.1851
0.6667 0.3333 0.9816
0.6667 0.3333 0.4816
0.3333 0.6667 0.0184
0.3333 0.6667 0.5184
0.3333 0.6667 0.3149
0.3333 0.6667 0.8149
0.2985 0.0000 0.2500
0.7015 0.7015 0.2500
0.0000 0.2985 0.2500
0.2985 0.2985 0.7500
0.0000 0.7015 0.7500
0.7015 0.0000 0.7500
0.9652 0.3333 0.5833
0.3682 0.0348 0.5833
0.6667 0.6318 0.5833
0.9652 0.6318 0.0833
0.6667 0.0348 0.0833
0.3682 0.3333 0.0833
0.6318 0.6667 0.9167
0.0348 0.3682 0.9167
0.3333 0.9652 0.9167
0.6318 0.9652 0.4167
0.3333 0.3682 0.4167
0.0348 0.6667 0.4167
0.1999 0.0205 0.3069
0.8205 0.8001 0.3069
0.9795 0.1795 0.3069
0.1999 0.1795 0.8069
0.9795 0.8001 0.8069
0.8205 0.0205 0.8069
0.8001 0.9795 0.6931
0.1795 0.1999 0.6931
0.0205 0.8205 0.6931
0.8001 0.8205 0.1931
0.0205 0.1999 0.1931
0.1795 0.9795 0.1931
0.8666 0.3538 0.6403
0.4872 0.1334 0.6403
0.6462 0.5128 0.6403
0.8666 0.5128 0.1403
0.6462 0.1334 0.1403
0.4872 0.3538 0.1403
0.4667 0.3129 0.0264
0.8461 0.5333 0.0264
0.6871 0.1539 0.0264
0.4667 0.1539 0.5264
0.6871 0.5333 0.5264
0.8461 0.3129 0.5264
0.5333 0.6871 0.9736
0.1539 0.4667 0.9736
0.3129 0.8461 0.9736
0.5333 0.8461 0.4736
0.3129 0.4667 0.4736
0.1539 0.6871 0.4736
0.1334 0.6462 0.3597
0.5128 0.8666 0.3597
0.3538 0.4872 0.3597
0.1334 0.4872 0.8597
0.3538 0.8666 0.8597
0.5128 0.6462 0.8597
0.0133 0.8296 0.4112
0.8163 0.9867 0.4112
0.1704 0.1837 0.4112
0.0133 0.1837 0.9112
0.1704 0.9867 0.9112
0.8163 0.8296 0.9112
0.9867 0.1704 0.5888
0.1837 0.0133 0.5888
0.8296 0.8163 0.5888
0.9867 0.8163 0.0888
0.8296 0.0133 0.0888
0.1837 0.1704 0.0888
0.6799 0.1629 0.7445
0.4830 0.3201 0.7445
0.8371 0.5170 0.7445
0.6799 0.5170 0.2445
0.8371 0.3201 0.2445
0.4830 0.1629 0.2445
0.6534 0.5038 0.9222
0.8504 0.3466 0.9222
0.4962 0.1496 0.9222
0.6534 0.1496 0.4222
0.4962 0.3466 0.4222
0.8504 0.5038 0.4222
0.3466 0.4962 0.0778
0.1496 0.6534 0.0778
0.5038 0.8504 0.0778
0.3466 0.8504 0.5778
0.5038 0.6534 0.5778
0.1496 0.4962 0.5778
0.3201 0.8371 0.2555
0.5170 0.6799 0.2555
0.1629 0.4830 0.2555
0.3201 0.4830 0.7555
0.1629 0.6799 0.7555
0.5170 0.8371 0.7555
```

---

Compound: BaSrBiSbO6
Source: Materials Project
Functional: PBE
Structure: relaxed

* ΔH_f (0 K): -2447 meV/atom
* energy relative to the lowest polymorph listed for this composition: 7.5 meV/atom
* symmetry: No. 16

Structure (POSCAR):
```
BaSrBiSbO6
1.0
8.5751 0.0000 0.0000
0.0000 8.5841 0.0000
0.0000 0.0000 8.5880
Ba Sr Bi Sb O
4 4 4 4 24
direct
0.0000 0.0000 0.0000
0.0000 0.0000 0.5000
0.5000 0.0000 0.0000
0.5000 0.5000 0.5000
0.0000 0.5000 0.0000
0.0000 0.5000 0.5000
0.5000 0.0000 0.5000
0.5000 0.5000 0.0000
0.2499 0.2534 0.2505
0.2499 0.7466 0.7495
0.7501 0.2534 0.7495
0.7501 0.7466 0.2505
0.2500 0.2528 0.7498
0.2500 0.7472 0.2502
0.7500 0.2528 0.2502
0.7500 0.7472 0.7498
0.0170 0.2222 0.7215
0.0170 0.7778 0.2785
0.2124 0.2870 0.9813
0.2124 0.7130 0.0187
0.2140 0.4830 0.7080
0.2140 0.5170 0.2920
0.2758 0.0203 0.7802
0.2758 0.9797 0.2198
0.2910 0.2170 0.5192
0.2910 0.7830 0.4808
0.4798 0.2918 0.7864
0.4798 0.7082 0.2136
0.5202 0.2918 0.2136
0.5202 0.7082 0.7864
0.7090 0.2170 0.4808
0.7090 0.7830 0.5192
0.7242 0.0203 0.2198
0.7242 0.9797 0.7802
0.7860 0.4830 0.2920
0.7860 0.5170 0.7080
0.7876 0.2870 0.0187
0.7876 0.7130 0.9813
0.9830 0.2222 0.2785
0.9830 0.7778 0.7215
```

---

Compound: LiMn9Se10
Source: Materials Project
Functional: PBE
Structure: relaxed

* ΔH_f (0 K): -675 meV/atom
* symmetry: No. 2

Structure (POSCAR):
```
LiMn9Se10
1.0
6.5975 0.0000 0.0000
-2.2041 7.3036 0.0000
-1.0848 -2.3185 8.1143
Li Mn Se
1 9 10
direct
0.0000 0.0000 0.0000
0.0000 0.5000 0.0000
0.1992 0.3987 0.3987
0.1989 0.9006 0.4002
0.4007 0.8013 0.8013
0.4019 0.3001 0.8016
0.5981 0.6999 0.1984
0.5993 0.1987 0.1987
0.8011 0.0994 0.5998
0.8008 0.6013 0.6013
0.1000 0.4504 0.6998
0.1009 0.9489 0.6971
0.3021 0.3529 0.1015
0.3021 0.8486 0.1009
0.5004 0.2506 0.4995
0.4996 0.7494 0.5005
0.6979 0.1514 0.8991
0.6979 0.6471 0.8985
0.8991 0.0511 0.3029
0.9000 0.5496 0.3002
```

---

Compound: Ba3As2
Source: Materials Project
Functional: PBE
Structure: relaxed

* ΔH_f (0 K): -653 meV/atom
* symmetry: No. 221

Structure (POSCAR):
```
Ba3As2
1.0
6.1842 0.0000 0.0000
0.0000 6.1842 0.0000
0.0000 0.0000 6.1842
Ba As
3 2
direct
0.0000 0.0000 0.5000
0.0000 0.5000 0.0000
0.5000 0.0000 0.0000
0.0000 0.0000 0.0000
0.5000 0.5000 0.5000
```

---

Compound: K3PO3F2
Source: Materials Project
Functional: PBE
Structure: relaxed

* ΔH_f (0 K): -2792 meV/atom
* symmetry: No. 42

Structure (POSCAR):
```
K3PO3F2
1.0
0.0000 5.5825 5.1835
5.3032 0.0000 5.1835
5.3032 5.5825 0.0000
K P O F
6 2 6 4
direct
0.0000 0.0000 0.0000
0.3812 0.3812 0.6188
0.4396 0.4396 0.0604
0.4840 0.8821 0.5160
0.8821 0.4840 0.1179
0.9396 0.9396 0.5604
0.4188 0.9336 0.0664
0.9336 0.4188 0.5812
0.1417 0.2405 0.5190
0.2405 0.1417 0.0988
0.4047 0.7337 0.2663
0.4810 0.9012 0.8583
0.7337 0.4047 0.5953
0.9012 0.4810 0.7595
0.1790 0.6925 0.8210
0.6399 0.9779 0.0221
0.6925 0.1790 0.3075
0.9779 0.6399 0.3601
```

---

Compound: CdGeO3
Source: Materials Project
Functional: PBE
Structure: relaxed

* ΔH_f (0 K): -1844 meV/atom
* symmetry: No. 148

Structure (POSCAR):
```
CdGeO3
1.0
2.5972 1.4995 5.0856
-2.5972 1.4995 5.0856
0.0000 -2.9990 5.0856
Cd Ge O
2 2 6
direct
0.1326 0.1326 0.1326
0.8674 0.8674 0.8674
0.3405 0.3405 0.3405
0.6595 0.6595 0.6595
0.0603 0.6878 0.4650
0.3122 0.5350 0.9397
0.4650 0.0603 0.6878
0.5350 0.9397 0.3122
0.6878 0.4650 0.0603
0.9397 0.3122 0.5350
```